AlH16C6O14 after structural relaxation. Source: the Materials Project database, functional PBE.

Lattice parameters (Å, degrees): 15.5956 15.5956 15.9576 119.25 119.25 90.00
With the nearest neighbours (Å) after each atom.
Sites, in units of the cell vectors:
O (0.4997, 0.1525, 0.2186)  1 C 1.27
O (0.3876, 0.1067, 0.4421)  2 H 1.01
O (0.9548, 0.4308, 0.8103)  2 H 1.00-1.01
H (0.1940, 0.2506, 0.9879)  1 O 1.00
H (0.6988, 0.9179, 0.9991)  1 O 1.00
O (0.5003, 0.8475, 0.7814)  1 C 1.27
O (0.6444, 0.0692, 0.1897)  2 H 1.00-1.01
C (0.8552, 0.0415, 0.6439)  3 C 1.41-1.52
H (0.9063, 0.1037, 0.9847)  1 O 1.01
H (0.8766, 0.0805, 0.3144)  1 O 1.01
H (0.5157, 0.4475, 0.6132)  1 O 1.01
O (0.2500, 0.5423, 0.0000)  2 H 1.00
H (0.5972, 0.1062, 0.2074)  1 O 1.00
O (0.8721, 0.5200, 0.5361)  1 C 1.27
C (0.2569, 0.7431, 0.2500)  2 O 1.27
H (0.4195, 0.0621, 0.1856)  1 O 1.01
H (0.2659, 0.1841, 0.2910)  1 O 1.01
H (0.6012, 0.6102, 0.7074)  1 O 1.00
O (0.1766, 0.3663, 0.5114)  1 C 1.27
O (0.6450, 0.3347, 0.0114)  1 C 1.27
O (0.4308, 0.9548, 0.3103)  2 H 1.00-1.01
H (0.8930, 0.2341, 0.2090)  1 O 1.01
H (0.3938, 0.8898, 0.2926)  1 O 1.00
H (0.3766, 0.2340, 0.3144)  1 O 1.01
H (0.6037, 0.5784, 0.4847)  1 O 1.01
O (0.3360, 0.4839, 0.4639)  1 C 1.27
H (0.0821, 0.3012, 0.5009)  1 O 1.00
C (0.3399, 0.5748, 0.5312)  2 O 1.27
C (0.7112, 0.4585, 0.3561)  3 C 1.41-1.52
H (0.2341, 0.8930, 0.7090)  1 O 1.01
C (0.1913, 0.4564, 0.5312)  2 O 1.27
H (0.2939, 0.7506, 0.9879)  1 O 1.00
H (0.8898, 0.3938, 0.7926)  1 O 1.00
O (0.8550, 0.3234, 0.9886)  1 C 1.27
H (0.0251, 0.6070, 0.2910)  1 O 1.01
H (0.3898, 0.3988, 0.7926)  1 O 1.00
H (0.6052, 0.9933, 0.1396)  1 O 1.01
H (0.9933, 0.6052, 0.6396)  1 O 1.01
O (0.5423, 0.2500, 0.5000)  2 H 1.00
H (0.7494, 0.8060, 0.5121)  1 O 1.00
O (0.2153, 0.3433, 0.8468)  2 H 1.01
H (0.4025, 0.0525, 0.3868)  1 O 1.01
O (0.0545, 0.8355, 0.4421)  2 H 1.01
C (0.5069, 0.7569, 0.7500)  2 O 1.27
H (0.4063, 0.8809, 0.9847)  1 O 1.01
C (0.7888, 0.1024, 0.6439)  3 C 1.41-1.52
C (0.8976, 0.2112, 0.8561)  3 C 1.41-1.52
H (0.5812, 0.3003, 0.4991)  1 O 1.00
H (0.1997, 0.5821, 0.0009)  1 O 1.00
H (0.5525, 0.4843, 0.8868)  1 O 1.01
H (0.9025, 0.3343, 0.3868)  1 O 1.01
O (0.8355, 0.0545, 0.9421)  2 H 1.01
H (0.7373, 0.6940, 0.4879)  1 O 1.00
O (0.2847, 0.4965, 0.1532)  2 H 1.01
H (0.9475, 0.5975, 0.1132)  1 O 1.01
O (0.6525, 0.2188, 0.7186)  1 C 1.27
C (0.6024, 0.3552, 0.1439)  3 C 1.41-1.52
O (0.0035, 0.6315, 0.3468)  2 H 1.01
H (0.0344, 0.4933, 0.1396)  1 O 1.01
O (0.1067, 0.3876, 0.9421)  2 H 1.01
Al (0.2500, 0.9185, 0.0000)  6 O 1.88-1.93
O (0.7500, 0.7037, 0.0000)  2 H 1.00
H (0.2373, 0.7939, 0.4879)  1 O 1.00
C (0.0748, 0.6913, 0.0312)  2 O 1.27
O (0.7500, 0.2037, 0.0000)  2 H 1.00
H (0.1464, 0.1052, 0.6396)  1 O 1.01
H (0.0937, 0.8963, 0.0153)  1 O 1.01
O (0.7500, 0.4577, 0.0000)  2 H 1.00
O (0.8933, 0.6124, 0.0579)  2 H 1.01
C (0.5415, 0.2888, 0.1439)  3 C 1.41-1.52
O (0.5692, 0.0452, 0.6897)  2 H 1.00-1.01
H (0.0621, 0.4195, 0.6856)  1 O 1.01
H (0.4379, 0.7340, 0.3144)  1 O 1.01
O (0.8475, 0.5003, 0.2814)  1 C 1.27
H (0.8003, 0.4179, 0.9991)  1 O 1.00
H (0.9656, 0.5067, 0.8604)  1 O 1.01
H (0.2627, 0.3060, 0.5121)  1 O 1.00
H (0.8536, 0.8948, 0.3604)  1 O 1.01
H (0.6841, 0.5251, 0.7910)  1 O 1.01
O (0.6124, 0.8933, 0.5579)  2 H 1.01
C (0.2431, 0.4931, 0.7500)  2 O 1.27
H (0.0975, 0.6657, 0.6132)  1 O 1.01
H (0.3948, 0.0067, 0.8604)  1 O 1.01
H (0.4843, 0.5525, 0.3868)  1 O 1.01
H (0.0805, 0.8766, 0.8144)  1 O 1.01
C (0.9585, 0.1448, 0.8561)  3 C 1.41-1.52
O (0.5452, 0.6205, 0.1897)  2 H 1.00-1.01
O (0.9800, 0.8360, 0.9639)  1 C 1.27
H (0.7660, 0.6234, 0.1856)  1 O 1.01
H (0.0784, 0.3809, 0.9847)  1 O 1.01
O (0.1653, 0.1337, 0.4886)  1 C 1.27
O (0.1124, 0.6645, 0.5579)  2 H 1.01
H (0.5344, 0.6464, 0.1396)  1 O 1.01
Al (0.7500, 0.0815, 0.0000)  6 O 1.88-1.93
H (0.6062, 0.1102, 0.7074)  1 O 1.00
C (0.9564, 0.8399, 0.0312)  2 O 1.27
O (0.1567, 0.8685, 0.6532)  2 H 1.01
H (0.6997, 0.4188, 0.0009)  1 O 1.00
O (0.4340, 0.2812, 0.2814)  1 C 1.27
C (0.4585, 0.7112, 0.8561)  3 C 1.41-1.52
O (0.7812, 0.3475, 0.7814)  1 C 1.27
H (0.2494, 0.7061, 0.5121)  1 O 1.00
H (0.6191, 0.9216, 0.5153)  1 O 1.01
O (0.5545, 0.6067, 0.4421)  2 H 1.01
H (0.3060, 0.2627, 0.0121)  1 O 1.00
H (0.5937, 0.1191, 0.0153)  1 O 1.01
O (0.0003, 0.9340, 0.7814)  1 C 1.27
C (0.1448, 0.9585, 0.3561)  3 C 1.41-1.52
O (0.5660, 0.7188, 0.7186)  1 C 1.27
C (0.0436, 0.1601, 0.9688)  2 O 1.27
H (0.7061, 0.2494, 0.0121)  1 O 1.00
H (0.8963, 0.0937, 0.5153)  1 O 1.01
O (0.3347, 0.6450, 0.5114)  1 C 1.27
O (0.5035, 0.7153, 0.3468)  2 H 1.01
O (0.9308, 0.3556, 0.3103)  2 H 1.00-1.01
O (0.3475, 0.7812, 0.2814)  1 C 1.27
C (0.1024, 0.7888, 0.1439)  3 C 1.41-1.52
C (0.9384, 0.0616, 0.7500)  3 C 1.41-1.51
O (0.0200, 0.1640, 0.0361)  1 C 1.27
H (0.8988, 0.9028, 0.2926)  1 O 1.00
H (0.8948, 0.8536, 0.8604)  1 O 1.01
H (0.1234, 0.9195, 0.6856)  1 O 1.01
H (0.8809, 0.4063, 0.4847)  1 O 1.01
H (0.5251, 0.6841, 0.2910)  1 O 1.01
H (0.5975, 0.9475, 0.6132)  1 O 1.01
O (0.1444, 0.1205, 0.1897)  2 H 1.00-1.01
H (0.3988, 0.3898, 0.2926)  1 O 1.00
H (0.2061, 0.7627, 0.0121)  1 O 1.00
H (0.0525, 0.4025, 0.8868)  1 O 1.01
O (0.1205, 0.1444, 0.6897)  2 H 1.00-1.01
O (0.3721, 0.0161, 0.5361)  1 C 1.27
C (0.8087, 0.5436, 0.4688)  2 O 1.27
H (0.3963, 0.4216, 0.5153)  1 O 1.01
C (0.5748, 0.3399, 0.0312)  2 O 1.27
H (0.1102, 0.6062, 0.2074)  1 O 1.00
O (0.2500, 0.7963, 0.0000)  2 H 1.00
H (0.1841, 0.2659, 0.7910)  1 O 1.01
O (0.3433, 0.2153, 0.3468)  2 H 1.01
O (0.8685, 0.1567, 0.1532)  2 H 1.01
O (0.9455, 0.1645, 0.5579)  2 H 1.01
H (0.6070, 0.0251, 0.7910)  1 O 1.01
O (0.6279, 0.9839, 0.4639)  1 C 1.27
H (0.3159, 0.4749, 0.2090)  1 O 1.01
C (0.6884, 0.4384, 0.2500)  3 C 1.41-1.51
H (0.1052, 0.1464, 0.1396)  1 O 1.01
H (0.3930, 0.9749, 0.2090)  1 O 1.01
O (0.6067, 0.5545, 0.9421)  2 H 1.01
Al (0.9185, 0.2500, 0.5000)  6 O 1.88-1.93
H (0.2660, 0.5621, 0.1856)  1 O 1.01
H (0.6940, 0.7373, 0.9879)  1 O 1.00
O (0.1450, 0.6766, 0.0114)  1 C 1.27
O (0.0423, 0.2500, 0.5000)  2 H 1.00
O (0.3234, 0.8550, 0.4886)  1 C 1.27
O (0.2037, 0.7500, 0.5000)  2 H 1.00
C (0.8116, 0.1884, 0.7500)  3 C 1.41-1.51
C (0.5436, 0.8087, 0.9688)  2 O 1.27
H (0.7340, 0.4379, 0.8144)  1 O 1.01
Al (0.5815, 0.7500, 0.5000)  6 O 1.88-1.93
O (0.3556, 0.9308, 0.8103)  2 H 1.00-1.01
H (0.8938, 0.4028, 0.2926)  1 O 1.00
C (0.0415, 0.8552, 0.1439)  3 C 1.41-1.52
H (0.8343, 0.9843, 0.8868)  1 O 1.01
H (0.9195, 0.1234, 0.1856)  1 O 1.01
H (0.4179, 0.8003, 0.4991)  1 O 1.00
H (0.1988, 0.0812, 0.9991)  1 O 1.00
O (0.4800, 0.1279, 0.9639)  1 C 1.27
O (0.5200, 0.8721, 0.0361)  1 C 1.27
H (0.9179, 0.6988, 0.4991)  1 O 1.00
O (0.6766, 0.1450, 0.5114)  1 C 1.27
H (0.1657, 0.0157, 0.1132)  1 O 1.01
O (0.1337, 0.1653, 0.9886)  1 C 1.27
O (0.3355, 0.8876, 0.9421)  2 H 1.01
H (0.6464, 0.5344, 0.6396)  1 O 1.01
O (0.6653, 0.3550, 0.4886)  1 C 1.27
H (0.4216, 0.3963, 0.0153)  1 O 1.01
H (0.5621, 0.2660, 0.6856)  1 O 1.01
H (0.0812, 0.1988, 0.4991)  1 O 1.00
C (0.3976, 0.6448, 0.8561)  3 C 1.41-1.52
O (0.0161, 0.3721, 0.0361)  1 C 1.27
O (0.7500, 0.9577, 0.0000)  2 H 1.00
H (0.8060, 0.7494, 0.0121)  1 O 1.00
H (0.4749, 0.3159, 0.7090)  1 O 1.01
H (0.9379, 0.5805, 0.3144)  1 O 1.01
O (0.4548, 0.3795, 0.8103)  2 H 1.00-1.01
H (0.8159, 0.7341, 0.2090)  1 O 1.01
C (0.6448, 0.3976, 0.3561)  3 C 1.41-1.52
O (0.1279, 0.4800, 0.4639)  1 C 1.27
C (0.7431, 0.2569, 0.7500)  2 O 1.27
H (0.7506, 0.2939, 0.4879)  1 O 1.00
H (0.9188, 0.8012, 0.5009)  1 O 1.00
O (0.2812, 0.4340, 0.7814)  1 C 1.27
H (0.4475, 0.5157, 0.1132)  1 O 1.01
H (0.1012, 0.0972, 0.7074)  1 O 1.00
O (0.4455, 0.3933, 0.5579)  2 H 1.01
O (0.8433, 0.1315, 0.3468)  2 H 1.01
H (0.5784, 0.6037, 0.9847)  1 O 1.01
Al (0.0815, 0.7500, 0.5000)  6 O 1.88-1.93
C (0.3552, 0.6024, 0.6439)  3 C 1.41-1.52
Al (0.7500, 0.5815, 0.0000)  6 O 1.88-1.93
O (0.3795, 0.4548, 0.3103)  2 H 1.00-1.01
C (0.9252, 0.3087, 0.9688)  2 O 1.27
H (0.4933, 0.0344, 0.6396)  1 O 1.01
O (0.2188, 0.6525, 0.2186)  1 C 1.27
C (0.2888, 0.5415, 0.6439)  3 C 1.41-1.52
H (0.1191, 0.5937, 0.5153)  1 O 1.01
O (0.8234, 0.6337, 0.4886)  1 C 1.27
O (0.8347, 0.8663, 0.5114)  1 C 1.27
C (0.1601, 0.0436, 0.4688)  2 O 1.27
O (0.1315, 0.8433, 0.8468)  2 H 1.01
H (0.9216, 0.6191, 0.0153)  1 O 1.01
C (0.4384, 0.6884, 0.7500)  3 C 1.41-1.51
H (0.4656, 0.3536, 0.8604)  1 O 1.01
O (0.2500, 0.2963, 0.0000)  2 H 1.00
O (0.3550, 0.6653, 0.9886)  1 C 1.27
H (0.9843, 0.8343, 0.3868)  1 O 1.01
H (0.0067, 0.3948, 0.3604)  1 O 1.01
O (0.3663, 0.1766, 0.0114)  1 C 1.27
O (0.8795, 0.8556, 0.3103)  2 H 1.00-1.01
H (0.0157, 0.1657, 0.6132)  1 O 1.01
H (0.1070, 0.7659, 0.7910)  1 O 1.01
O (0.6645, 0.1124, 0.0579)  2 H 1.01
O (0.2500, 0.0423, 0.0000)  2 H 1.00
H (0.5067, 0.9656, 0.3604)  1 O 1.01
C (0.0069, 0.9931, 0.7500)  2 O 1.27
O (0.7847, 0.6567, 0.1532)  2 H 1.01
O (0.4965, 0.2847, 0.6532)  2 H 1.01
O (0.8876, 0.3355, 0.4421)  2 H 1.01
O (0.6567, 0.7847, 0.6532)  2 H 1.01
C (0.3087, 0.9252, 0.4688)  2 O 1.27
O (0.7037, 0.7500, 0.5000)  2 H 1.00
O (0.9965, 0.3685, 0.6532)  2 H 1.01
H (0.0972, 0.1012, 0.2074)  1 O 1.00
C (0.6913, 0.0748, 0.5312)  2 O 1.27
H (0.4188, 0.6997, 0.5009)  1 O 1.00
H (0.3809, 0.0784, 0.4847)  1 O 1.01
O (0.7188, 0.5660, 0.2186)  1 C 1.27
H (0.3012, 0.0821, 0.0009)  1 O 1.00
C (0.0616, 0.9384, 0.2500)  3 C 1.41-1.51
O (0.6205, 0.5452, 0.6897)  2 H 1.00-1.01
C (0.1884, 0.8116, 0.2500)  3 C 1.41-1.51
H (0.3343, 0.9025, 0.8868)  1 O 1.01
O (0.5161, 0.6640, 0.0361)  1 C 1.27
O (0.3685, 0.9965, 0.1532)  2 H 1.01
H (0.8012, 0.9188, 0.0009)  1 O 1.00
O (0.2963, 0.2500, 0.5000)  2 H 1.00
H (0.7627, 0.2061, 0.5121)  1 O 1.00
O (0.8663, 0.8347, 0.0114)  1 C 1.27
H (0.4028, 0.8938, 0.7926)  1 O 1.00
O (0.1525, 0.4997, 0.7186)  1 C 1.27
O (0.7153, 0.5035, 0.8468)  2 H 1.01
O (0.0692, 0.6444, 0.6897)  2 H 1.00-1.01
C (0.8399, 0.9564, 0.5312)  2 O 1.27
O (0.9577, 0.7500, 0.5000)  2 H 1.00
H (0.2340, 0.3766, 0.8144)  1 O 1.01
O (0.3933, 0.4455, 0.0579)  2 H 1.01
H (0.9749, 0.3930, 0.7090)  1 O 1.01
H (0.7659, 0.1070, 0.2910)  1 O 1.01
O (0.7963, 0.2500, 0.5000)  2 H 1.00
C (0.3116, 0.5616, 0.7500)  3 C 1.41-1.51
H (0.1037, 0.9063, 0.4847)  1 O 1.01
Al (0.4185, 0.2500, 0.5000)  6 O 1.88-1.93
C (0.7569, 0.5069, 0.2500)  2 O 1.27
O (0.8360, 0.9800, 0.4639)  1 C 1.27
C (0.4931, 0.2431, 0.2500)  2 O 1.27
C (0.9931, 0.0069, 0.2500)  2 O 1.27
O (0.9340, 0.0003, 0.2814)  1 C 1.27
H (0.6234, 0.7660, 0.6856)  1 O 1.01
O (0.1645, 0.9455, 0.0579)  2 H 1.01
H (0.6102, 0.6012, 0.2074)  1 O 1.00
C (0.2112, 0.8976, 0.3561)  3 C 1.41-1.52
O (0.6640, 0.5161, 0.5361)  1 C 1.27
O (0.4839, 0.3360, 0.9639)  1 C 1.27
H (0.3536, 0.4656, 0.3604)  1 O 1.01
C (0.6601, 0.4252, 0.4688)  2 O 1.27
H (0.2506, 0.1940, 0.4879)  1 O 1.00
O (0.8556, 0.8795, 0.8103)  2 H 1.00-1.01
O (0.9997, 0.0660, 0.2186)  1 C 1.27
H (0.3003, 0.5812, 0.9991)  1 O 1.00
O (0.1640, 0.0200, 0.5361)  1 C 1.27
H (0.5821, 0.1997, 0.5009)  1 O 1.00
O (0.6315, 0.0035, 0.8468)  2 H 1.01
O (0.0660, 0.9997, 0.7186)  1 C 1.27
O (0.9839, 0.6279, 0.9639)  1 C 1.27
H (0.6657, 0.0975, 0.1132)  1 O 1.01
C (0.4564, 0.1913, 0.0312)  2 O 1.27
H (0.9028, 0.8988, 0.7926)  1 O 1.00
H (0.7341, 0.8159, 0.7090)  1 O 1.01
O (0.4577, 0.7500, 0.5000)  2 H 1.00
C (0.5616, 0.3116, 0.2500)  3 C 1.41-1.51
H (0.1062, 0.5972, 0.7074)  1 O 1.00
H (0.7939, 0.2373, 0.9879)  1 O 1.00
O (0.0452, 0.5692, 0.1897)  2 H 1.00-1.01
O (0.6337, 0.8234, 0.9886)  1 C 1.27
C (0.4252, 0.6601, 0.9688)  2 O 1.27
H (0.5805, 0.9379, 0.8144)  1 O 1.01
Al (0.2500, 0.4185, 0.0000)  6 O 1.88-1.93

Summary:
energy with MP2020 corrections = -232.3 eV per formula unit
M_tot = 0.0 μB per cell
volume = 351 Å³/f.u.
energy relative to the elements = -1.343 eV per atom